Entry a
V2OF5 (PBE+U, relaxed); mass density = 3.62 g/cm3; symmetry = No. 1
1.0
-4.524 0.861 0.495
-1.941 -7.275 -3.805
0.063 -2.336 4.417
V O F
4 2 10
Cartesian
-4.762 -1.638 1.960
-2.921 -2.021 -0.968
-5.699 -6.449 2.254
-3.853 -6.815 -0.686
-4.944 -7.191 0.946
-4.020 -2.386 0.643
-2.393 -6.289 0.540
-1.465 -1.483 0.248
-1.718 -3.679 1.901
-2.718 -6.171 -2.238
-2.094 -3.779 -1.237
-1.067 -1.297 2.905
-4.341 -4.982 2.297
-5.341 -7.451 -1.826
-4.719 -5.022 -0.749
-3.707 -2.549 3.346

Entry b
V2OF5 (PBE+U, relaxed); mass density = 3.29 g/cm3; symmetry = No. 152
1.0
2.537 -3.427 -3.067
11.122 1.527 7.494
-2.616 -1.695 4.228
V O F
6 3 15
Cartesian
5.472 -4.292 4.806
-0.066 -5.018 1.223
9.980 -1.554 5.661
6.625 -1.259 6.736
4.547 -2.422 1.952
0.932 -2.129 2.999
8.298 -1.708 6.267
4.860 -3.154 3.560
0.588 -3.473 1.862
9.777 -2.883 4.239
6.799 -1.850 8.593
5.363 -0.696 2.385
0.165 -0.735 1.859
10.419 -0.138 6.985
6.218 -0.539 4.929
4.331 -1.661 0.123
1.183 -0.661 4.323
11.800 -1.275 4.899
4.819 -0.626 7.291
2.748 -1.706 2.346
6.321 -3.037 1.296
-0.854 -2.349 3.845
10.800 -2.904 6.848
5.758 -2.963 6.241

Entry c
V2OF5 (PBE+U, relaxed); mass density = 3.21 g/cm3; symmetry = No. 1
1.0
0.404 -2.284 -4.794
-3.571 -11.882 5.305
-4.629 2.078 1.566
V O F
6 3 15
Cartesian
-1.917 -5.816 2.676
-4.132 -0.273 -3.107
-4.191 -10.706 1.801
-5.492 -7.294 3.082
-2.486 -4.843 -0.948
-3.537 -1.359 0.265
-7.030 -7.794 3.533
-2.208 -6.602 -1.821
-3.579 -0.941 -1.669
-4.156 -10.247 -0.123
-1.768 -5.605 0.721
-1.814 -0.443 0.508
-4.234 -11.167 3.705
-3.588 -6.817 2.479
-0.663 -4.323 -1.499
-3.611 -1.743 2.236
-3.316 -12.420 1.363
-5.578 -5.503 3.859
-2.647 -3.066 -0.008
-5.083 -9.000 2.147
-4.454 0.354 0.619
-4.287 -5.341 -0.360
-5.965 -11.600 1.493
-6.032 -6.568 1.333

Entry d
V2OF5 (PBE+U, relaxed); mass density = 3.40 g/cm3; symmetry = No. 7
1.0
-0.269 -0.564 -5.025
4.689 -0.468 -0.199
3.059 -17.688 1.820
V O F
8 4 20
Cartesian
4.202 -5.712 -1.982
3.525 -12.741 1.232
1.727 -4.459 -4.686
5.987 -10.286 0.744
1.491 -8.287 -1.751
5.716 -14.589 -1.374
4.198 -1.986 -5.016
3.025 -17.120 -0.743
5.304 -5.538 -0.712
4.787 -11.424 0.450
3.049 -3.016 -4.352
6.675 -14.714 -2.761
0.762 -1.099 -3.400
5.042 -7.333 -2.733
0.951 -2.365 -0.473
0.587 -4.183 -3.049
4.046 -17.363 0.864
4.512 -13.275 -2.197
4.946 -10.199 -2.588
5.215 -8.738 -0.228
4.547 -14.177 0.333
4.328 -15.933 -1.690
2.339 -8.892 -3.363
3.077 -4.234 -1.347
2.390 -9.737 -0.656
3.514 -1.153 -1.694
2.855 -5.673 -3.605
2.872 -6.936 -1.233
6.649 -16.015 -0.376
2.284 -11.621 -3.234
2.215 -12.821 -0.296
6.573 -17.940 -2.514

Q: What are the energies relative to the best structure? A: entry a 0.041; entry b 0.016; entry c 0.000; entry d 0.053, in eV/atom.

Entry a
V2OF5 (PBE+U, relaxed); mass density = 3.62 g/cm3; symmetry = No. 1
1.0
-2.489 1.758 -3.498
-3.109 -7.687 -1.762
-7.220 -2.552 3.790
V O F
6 3 15
Cartesian
-4.512 -5.946 0.096
-1.073 -2.523 -0.572
-3.612 -0.123 -0.465
-7.035 -3.548 0.195
-10.432 -7.627 -2.678
-10.502 -6.782 0.713
-2.867 -1.628 -0.448
-6.296 -5.059 0.228
-10.041 -6.763 -0.904
-3.088 0.134 -2.394
-5.103 -6.919 -1.529
-7.362 -5.867 -2.426
-3.996 -2.379 -3.018
-5.435 -0.526 -1.095
-7.391 -7.876 -0.360
-7.745 -3.597 2.047
-8.855 -3.980 -0.391
-3.916 -4.539 -1.152
-5.087 -4.860 -3.478
-6.529 -3.273 -1.722
-5.441 -2.613 0.864
-8.868 -6.100 1.622
-7.691 -1.604 0.018
-9.738 -8.632 0.932

Entry b
V2OF5 (PBE+U, relaxed); mass density = 3.44 g/cm3; symmetry = No. 1
1.0
2.588 1.257 -4.245
-2.590 4.681 -0.044
2.619 -1.275 4.221
V O F
2 1 5
Cartesian
0.060 5.064 -1.555
0.058 1.938 0.700
2.966 1.787 -2.529
-0.471 3.501 -0.430
1.016 1.255 -0.834
1.606 2.958 1.244
1.597 4.027 -2.107
3.619 1.054 0.025

Q: What are the energies relative to the best structure? A: entry a 0.012; entry b 0.000, in eV/atom.

Entry a
V2OF5 (PBE+U, relaxed); mass density = 3.27 g/cm3; symmetry = No. 1
1.0
5.265 0.000 0.000
-2.625 4.758 0.000
-0.167 -0.397 12.945
V O F
6 3 15
Cartesian
2.564 1.453 4.279
2.522 1.388 10.858
0.117 3.004 2.195
-0.198 3.006 8.535
-2.691 4.557 6.497
2.502 4.305 12.933
2.870 2.742 11.806
1.432 2.167 2.848
-1.160 3.636 7.301
4.065 0.311 11.440
3.587 1.928 9.303
3.627 0.779 5.789
2.048 2.997 5.430
1.458 3.906 7.995
1.431 0.532 12.267
1.046 3.779 0.655
0.915 2.189 10.030
1.015 0.440 4.972
0.488 4.655 3.189
0.402 1.413 7.528
2.060 -0.277 9.792
-0.500 1.538 1.060
-1.127 2.445 3.626
-1.514 3.995 1.485

Entry b
V2OF5 (PBE+U, relaxed); mass density = 3.42 g/cm3; symmetry = No. 1
1.0
4.707 0.000 0.000
-0.010 5.064 0.000
-0.086 -0.234 17.365
V O F
8 4 20
Cartesian
-0.071 1.072 16.528
0.029 3.674 12.442
0.116 3.872 0.977
2.193 3.758 9.679
2.259 1.020 13.680
2.313 1.177 7.835
2.327 3.753 3.691
4.568 1.359 5.013
1.094 4.238 10.876
1.035 4.528 13.512
1.180 4.350 2.194
3.544 2.708 4.895
0.947 4.473 16.787
1.121 4.749 4.914
1.119 2.024 12.410
1.095 1.902 6.430
1.041 2.155 0.638
1.130 1.796 15.149
1.274 2.043 9.304
1.164 2.100 3.727
1.280 4.588 8.111
3.288 2.818 8.188
3.332 0.218 9.305
3.468 2.657 13.573
3.415 0.367 15.117
3.555 0.286 3.710
3.492 3.083 2.191
3.516 3.002 10.930
3.477 0.138 12.362
3.537 0.469 6.447
3.653 2.712 16.840
3.695 0.335 0.621

Q: What are the energies relative to the best structure? A: entry a 0.000; entry b 0.052, in eV/atom.

Entry a
V2OF5 (PBE+U, relaxed); mass density = 3.25 g/cm3; symmetry = No. 1
1.0
5.307 0.000 0.000
-2.650 -4.747 0.000
-2.576 0.901 -17.246
V O F
8 4 20
Cartesian
-2.606 -2.188 -15.097
0.022 -0.092 -6.535
0.007 -0.633 -12.856
0.120 -3.254 -4.215
0.039 -3.556 -10.805
2.627 -1.722 -2.163
2.656 0.741 -17.162
2.695 -1.920 -8.596
-2.994 -0.625 -16.230
-2.965 -3.482 -7.460
-0.322 -1.986 -11.918
1.090 -2.630 -2.984
-4.192 -3.148 -15.764
-2.151 -3.778 -13.976
-1.553 0.423 -12.288
-1.534 -1.145 -7.145
-1.544 -2.371 -3.637
-1.531 -2.929 -16.590
-1.001 -1.238 -14.434
-1.017 -4.050 -5.696
-0.996 -2.839 -9.301
0.470 -1.774 -5.478
1.090 0.238 -11.453
1.112 -0.937 -7.949
1.571 -0.952 -0.685
1.655 -2.649 -10.100
1.658 -1.432 -13.613
1.591 -4.329 -4.984
2.169 -0.110 -3.217
3.092 -3.268 -1.031
3.175 -0.373 -9.715
4.223 -0.706 -1.487

Entry b
V2OF5 (PBE+U, relaxed); mass density = 3.76 g/cm3; symmetry = No. 1
1.0
4.227 7.298 0.011
-4.216 7.333 0.015
0.017 -0.041 4.569
V O F
6 3 15
Cartesian
-2.713 4.797 4.500
-2.701 9.670 4.515
-1.391 7.406 2.376
-1.398 2.524 2.369
1.435 7.213 0.096
2.753 4.915 2.199
-1.591 8.799 3.439
-1.604 3.915 3.434
1.649 5.807 1.156
-2.726 8.167 1.153
-2.688 6.416 3.437
-1.541 5.767 1.148
-1.483 10.593 1.165
-0.012 7.996 1.148
0.033 6.568 3.444
0.011 1.709 3.423
0.017 3.102 1.158
-0.004 11.531 3.435
0.045 12.837 1.161
1.515 10.598 1.148
1.534 8.788 3.420
1.542 3.989 3.441
2.691 8.229 1.152
2.778 6.428 3.442

Entry c
V2OF5 (PBE+U, relaxed); mass density = 3.60 g/cm3; symmetry = No. 1
1.0
-0.100 4.565 0.767
1.305 -1.436 8.298
6.733 1.005 -5.223
V O F
6 3 15
Cartesian
7.020 5.073 -1.640
4.528 3.026 -2.976
5.108 4.190 2.855
2.640 2.157 1.446
3.409 3.440 7.298
0.862 1.377 6.095
5.462 3.867 -1.848
3.761 3.183 2.733
1.832 2.211 7.191
6.071 1.842 -3.434
6.725 1.408 -0.711
3.815 1.562 -1.937
6.822 0.896 1.877
5.947 3.402 1.217
3.082 3.541 0.074
6.209 2.921 3.882
4.230 1.067 1.075
4.921 0.638 3.727
1.735 1.176 -0.084
4.149 2.565 5.676
1.056 3.220 1.941
1.959 0.766 2.646
2.446 0.214 5.594
1.257 2.697 4.637

Q: What are the energies relative to the best structure? A: entry a 0.000; entry b 0.069; entry c 0.038, in eV/atom.

Entry a
V2OF5 (PBE+U, relaxed); mass density = 3.27 g/cm3; symmetry = No. 1
1.0
2.621 1.295 -4.336
-2.652 4.747 -0.085
2.686 -1.326 4.329
V O F
2 1 5
Cartesian
0.036 5.176 -1.651
0.013 2.025 0.652
3.023 1.773 -2.523
-0.430 3.599 -0.482
1.025 1.212 -0.830
1.636 2.941 1.301
1.584 4.096 -2.191
3.694 1.050 0.008

Entry b
V2OF5 (PBE+U, relaxed); mass density = 3.39 g/cm3; symmetry = No. 7
1.0
4.878 0.000 0.000
0.000 4.857 0.000
0.000 4.786 8.797
V O F
4 2 10
Cartesian
3.724 2.461 1.524
1.168 4.784 2.754
1.153 4.854 5.922
3.709 7.177 7.152
0.217 3.833 1.694
4.661 6.227 6.092
2.286 1.052 1.610
2.629 3.451 2.846
4.724 6.219 2.874
2.044 5.670 4.315
0.333 3.936 4.394
2.591 3.445 6.008
0.154 8.612 7.272
2.248 5.844 7.245
2.833 8.063 8.714
4.545 6.329 8.792

Q: What are the energies relative to the best structure? A: entry a 0.000; entry b 0.041, in eV/atom.